Entry 1:
RbMg6Ni PBE optimized geometry; total magnetic moment = 0.004 Bohr magnetons per cell; calculated volume = 26.69 Å³ per atom
1.0
4.4892 0.0000 0.0000
0.0000 6.3427 0.0000
0.0000 0.0000 15.0006
Rb Mg Ni
2 12 2
direct
0.0000 0.0000 0.0000 Rb
0.0000 0.5000 0.5000 Rb
0.0000 0.0000 0.4455 Mg
0.0000 0.2385 0.2015 Mg
0.0000 0.2615 0.7015 Mg
0.0000 0.5000 0.9455 Mg
0.0000 0.7385 0.7015 Mg
0.0000 0.7615 0.2015 Mg
0.5000 0.0000 0.6096 Mg
0.5000 0.2425 0.3298 Mg
0.5000 0.2575 0.8298 Mg
0.5000 0.5000 0.1096 Mg
0.5000 0.7425 0.8298 Mg
0.5000 0.7575 0.3298 Mg
0.5000 0.0000 0.1906 Ni
0.5000 0.5000 0.6906 Ni

---

Entry 2:
RbMg14Ni PBE optimized geometry; total magnetic moment = 0.000 Bohr magnetons per cell; calculated volume = 23.73 Å³ per atom
1.0
6.4272 0.0000 0.0000
-3.2136 5.5661 0.0000
0.0000 0.0000 10.6131
Rb Mg Ni
1 14 1
direct
0.0000 0.0000 0.0000 Rb
0.0070 0.5035 0.0000 Mg
0.1634 0.3268 0.2823 Mg
0.1634 0.3268 0.7177 Mg
0.1634 0.8366 0.2823 Mg
0.1634 0.8366 0.7177 Mg
0.4965 0.5035 0.0000 Mg
0.4965 0.9930 0.0000 Mg
0.5063 0.0126 0.5000 Mg
0.5063 0.4937 0.5000 Mg
0.6667 0.3333 0.2407 Mg
0.6667 0.3333 0.7593 Mg
0.6732 0.8366 0.2823 Mg
0.6732 0.8366 0.7177 Mg
0.9874 0.4937 0.5000 Mg
0.0000 0.0000 0.5000 Ni

---

Entry 3:
RbMg6Ni PBE optimized geometry; total magnetic moment = 0.002 Bohr magnetons per cell; calculated volume = 24.12 Å³ per atom
1.0
5.2225 0.0000 0.0000
0.0000 6.4675 0.0000
0.0000 0.0000 11.4257
Mg Rb Ni
12 2 2
direct
0.0000 0.0000 0.8441 Mg
0.5000 0.2465 0.9170 Mg
0.0000 0.2238 0.0845 Mg
0.0000 0.7238 0.5845 Mg
0.5000 0.7535 0.9170 Mg
0.0000 0.5000 0.3441 Mg
0.5000 0.7465 0.4170 Mg
0.0000 0.7762 0.0845 Mg
0.0000 0.2762 0.5845 Mg
0.0000 0.0000 0.3257 Mg
0.0000 0.5000 0.8257 Mg
0.5000 0.2535 0.4170 Mg
0.5000 0.5000 0.1652 Rb
0.5000 0.0000 0.6652 Rb
0.5000 0.0000 0.1619 Ni
0.5000 0.5000 0.6619 Ni

---

Result set for energy of formation from the pure elements: 23.8; 17.3; 33.3 kJ per mole of atoms, one per record in the order listed.